{"formula": "Co2SiO4", "functional": "PBE with a Hubbard U", "state": "optimized geometry", "formation_energy_mev_per_atom": -2136.4, "spacegroup": "P-1, No. 2", "de_polymorph_ev_per_fu": 0.00, "lattice": [[-3.8883, 0.5623, -2.8054], [-1.5945, -5.7562, 1.0488], [-5.5462, 3.0041, 8.2642]], "species": ["O", "O", "O", "O", "O", "O", "O", "O", "O", "O", "O", "O", "O", "O", "O", "O", "Co", "Co", "Co", "Co", "Co", "Co", "Co", "Co", "Si", "Si", "Si", "Si"], "frac_coords": [[0.7665, 0.2508, 0.0928], [0.2850, 0.2479, 0.9461], [0.2154, 0.2478, 0.4464], [0.7226, 0.5330, 0.8398], [0.7330, 0.2507, 0.5928], [0.2213, 0.4659, 0.6611], [0.7846, 0.7522, 0.5536], [0.7150, 0.7521, 0.0539], [0.2670, 0.7493, 0.4072], [0.7806, 0.9685, 0.3370], [0.2775, 0.4671, 0.1602], [0.2194, 0.0315, 0.6630], [0.2807, 0.0323, 0.1633], [0.7786, 0.5341, 0.3389], [0.2335, 0.7492, 0.9072], [0.7193, 0.9677, 0.8367], [0.5000, 0.0000, 0.5000], [0.5000, 0.5000, 0.5000], [0.0068, 0.7492, 0.7252], [0.0000, 0.0000, 0.0000], [0.9933, 0.2508, 0.2747], [0.0000, 0.5000, 0.0000], [0.5046, 0.2514, 0.7747], [0.4954, 0.7486, 0.2253], [0.9268, 0.7514, 0.4066], [0.0732, 0.2486, 0.5934], [0.5737, 0.7509, 0.9069], [0.4263, 0.2491, 0.0931]]}